Entry 1:
# Sm4CrS7 (GGA-PBE, optimized geometry)
# Total energy, eV for the cell shown: -153.70
# Calculated volume, A^3/atom: 23.490
# Energy of formation from the pure elements, kJ per mole of atoms: -184.0
# Symmetry: P2_1, No. 4
# Crystal system: monoclinic
# MP2020-corrected energy, eV per atom: -6.70
data_Sm4CrS7
_space_group_name_H-M_alt 'P 1'
_space_group_IT_number 1
_cell_length_a 10.0069
_cell_length_b 6.4839
_cell_length_c 10.0095
_cell_angle_alpha 90.00
_cell_angle_beta 119.77
_cell_angle_gamma 90.00
loop_
_space_group_symop_operation_xyz
'x,y,z'
loop_
_atom_site_label
_atom_site_type_symbol
_atom_site_fract_x
_atom_site_fract_y
_atom_site_fract_z
S1 S 0.7444 0.8056 0.8942
Sm1 Sm 0.7504 0.7337 0.6010
Cr1 Cr 0.3323 0.6538 0.6672
S2 S 0.1500 0.8054 0.2554
S3 S 0.4180 0.4900 0.9030
S4 S 0.0959 0.4900 0.5146
S5 S 0.2556 0.3056 0.1058
S6 S 0.5148 0.9913 0.4175
Sm2 Sm 0.1495 0.2333 0.7499
Sm3 Sm 0.0001 0.0490 0.0001
S7 S 0.8937 0.3055 0.1498
S8 S 0.6664 0.5195 0.3339
Sm4 Sm 0.9999 0.5490 0.9999
S9 S 0.1063 0.8055 0.8502
Sm5 Sm 0.3989 0.7330 0.1500
Sm6 Sm 0.8505 0.7333 0.2501
S10 S 0.9041 0.9900 0.4854
Sm7 Sm 0.2496 0.2337 0.3990
Cr2 Cr 0.6677 0.1538 0.3328
S11 S 0.5820 0.9900 0.0970
S12 S 0.8500 0.3054 0.7446
S13 S 0.4852 0.4913 0.5825
Sm8 Sm 0.6011 0.2330 0.8500
S14 S 0.3336 0.0195 0.6661

=====

Entry 2:
# Sm4CrS7 (GGA-PBE, optimized geometry)
# Total energy, eV for the cell shown: -155.37
# Calculated volume, A^3/atom: 23.307
# Energy of formation from the pure elements, kJ per mole of atoms: -190.8
# Symmetry: P6_3, No. 173
# Crystal system: hexagonal
# MP2020-corrected energy, eV per atom: -6.77
data_Sm4CrS7
_space_group_name_H-M_alt 'P 1'
_space_group_IT_number 1
_cell_length_a 9.7821
_cell_length_b 9.7821
_cell_length_c 6.7500
_cell_angle_alpha 90.00
_cell_angle_beta 90.00
_cell_angle_gamma 120.00
loop_
_space_group_symop_operation_xyz
'x,y,z'
loop_
_atom_site_label
_atom_site_type_symbol
_atom_site_fract_x
_atom_site_fract_y
_atom_site_fract_z
Sm1 Sm 0.3333 0.6667 0.1676
S1 S 0.8648 0.0983 0.8067
S2 S 0.2335 0.1352 0.8067
S3 S 0.4909 0.9286 0.9565
S4 S 0.4377 0.5091 0.9565
Cr1 Cr 0.0000 0.0000 0.5368
S5 S 0.3333 0.6667 0.5554
S6 S 0.5091 0.0714 0.4565
Sm2 Sm 0.1507 0.3758 0.7155
Sm3 Sm 0.8493 0.6242 0.2155
S7 S 0.1352 0.9017 0.3067
S8 S 0.7665 0.8648 0.3067
Sm4 Sm 0.6242 0.7749 0.7155
Sm5 Sm 0.7749 0.1507 0.2155
Cr2 Cr 0.0000 0.0000 0.0368
S9 S 0.0983 0.2335 0.3067
S10 S 0.5623 0.4909 0.4565
S11 S 0.9017 0.7665 0.8067
Sm6 Sm 0.6667 0.3333 0.6676
S12 S 0.0714 0.5623 0.9565
S13 S 0.9286 0.4377 0.4565
Sm7 Sm 0.2251 0.8493 0.7155
S14 S 0.6667 0.3333 0.0554
Sm8 Sm 0.3758 0.2251 0.2155

=====

Entry 3:
# Cr3SnS8 (GGA-PBE, optimized geometry)
# Total energy, eV for the cell shown: -71.51
# Calculated volume, A^3/atom: 20.124
# Energy of formation from the pure elements, kJ per mole of atoms: -76.2
# Symmetry: Cm, No. 8
# Crystal system: monoclinic
# MP2020-corrected energy, eV per atom: -6.29
data_Cr3SnS8
_space_group_name_H-M_alt 'P 1'
_space_group_IT_number 1
_cell_length_a 7.2593
_cell_length_b 6.7329
_cell_length_c 6.7389
_cell_angle_alpha 60.19
_cell_angle_beta 62.48
_cell_angle_gamma 62.40
loop_
_space_group_symop_operation_xyz
'x,y,z'
loop_
_atom_site_label
_atom_site_type_symbol
_atom_site_fract_x
_atom_site_fract_y
_atom_site_fract_z
S1 S 0.2781 0.2398 0.7425
S2 S 0.2782 0.2393 0.2398
S3 S 0.7222 0.7602 0.2574
S4 S 0.7219 0.2573 0.7602
S5 S 0.2784 0.7425 0.2399
Sn1 Sn 0.0002 0.4999 0.5001
Cr1 Cr 0.5003 0.9988 0.5005
S6 S 0.7170 0.2610 0.2607
S7 S 0.7220 0.7606 0.7603
Cr2 Cr 0.5006 0.5001 0.5002
S8 S 0.2811 0.7397 0.7398
Cr3 Cr 0.5000 0.5006 0.9987

=====

Entry 4:
# TaCr3S8 (GGA-PBE, optimized geometry)
# Total energy, eV for the cell shown: -81.91
# Calculated volume, A^3/atom: 18.904
# Energy of formation from the pure elements, kJ per mole of atoms: -96.7
# Symmetry: C2/m, No. 12
# Crystal system: monoclinic
# MP2020-corrected energy, eV per atom: -7.16
data_TaCr3S8
_space_group_name_H-M_alt 'P 1'
_space_group_IT_number 1
_cell_length_a 6.7728
_cell_length_b 6.9239
_cell_length_c 6.9030
_cell_angle_alpha 60.05
_cell_angle_beta 59.35
_cell_angle_gamma 59.43
loop_
_space_group_symop_operation_xyz
'x,y,z'
loop_
_atom_site_label
_atom_site_type_symbol
_atom_site_fract_x
_atom_site_fract_y
_atom_site_fract_z
Ta1 Ta 0.9999 0.4999 0.5003
S1 S 0.7330 0.2555 0.2559
S2 S 0.7406 0.7530 0.7535
S3 S 0.7405 0.7530 0.2531
Cr1 Cr 0.4999 0.5004 0.4996
S4 S 0.2593 0.7471 0.2467
Cr2 Cr 0.5005 0.9995 0.5001
S5 S 0.2596 0.2470 0.7467
Cr3 Cr 0.4998 0.4999 0.0000
S6 S 0.2595 0.2471 0.2464
S7 S 0.2668 0.7445 0.7443
S8 S 0.7407 0.2530 0.7533

=====

Entry 5:
# Ta3CrS6 (GGA-PBE, optimized geometry)
# Total energy, eV for the cell shown: -161.29
# Calculated volume, A^3/atom: 17.587
# Energy of formation from the pure elements, kJ per mole of atoms: -131.4
# Symmetry: P6_322, No. 182
# Crystal system: hexagonal
# MP2020-corrected energy, eV per atom: -8.37
data_Ta3CrS6
_space_group_name_H-M_alt 'P 1'
_space_group_IT_number 1
_cell_length_a 5.7643
_cell_length_b 5.7643
_cell_length_c 12.2236
_cell_angle_alpha 90.00
_cell_angle_beta 90.00
_cell_angle_gamma 120.00
loop_
_space_group_symop_operation_xyz
'x,y,z'
loop_
_atom_site_label
_atom_site_type_symbol
_atom_site_fract_x
_atom_site_fract_y
_atom_site_fract_z
Ta1 Ta 0.6667 0.3333 0.4979
Cr1 Cr 0.3333 0.6667 0.2500
S1 S 0.3322 0.3323 0.3705
S2 S 0.6677 0.6678 0.1295
S3 S 0.6678 0.0001 0.6295
S4 S 0.6677 0.9999 0.3705
Ta2 Ta 0.6667 0.3333 0.0021
S5 S 0.6678 0.6677 0.8705
S6 S 0.3322 0.9999 0.1295
Cr2 Cr 0.6667 0.3333 0.7500
S7 S 0.0001 0.6678 0.3705
Ta3 Ta 0.0000 0.0000 0.0000
S8 S 0.0001 0.3323 0.1295
Ta4 Ta 0.0000 0.0000 0.5000
S9 S 0.3323 0.3322 0.6295
S10 S 0.3323 0.0001 0.8705
S11 S 0.9999 0.6677 0.6295
Ta5 Ta 0.3333 0.6667 0.5021
S12 S 0.9999 0.3322 0.8705
Ta6 Ta 0.3333 0.6667 0.9979

=====

Entry 6:
# Tb3CrS6 (GGA-PBE, optimized geometry)
# Total energy, eV for the cell shown: -262.84
# Calculated volume, A^3/atom: 20.267
# Energy of formation from the pure elements, kJ per mole of atoms: -196.4
# Symmetry: Pnnm, No. 58
# Crystal system: orthorhombic
# MP2020-corrected energy, eV per atom: -6.87
data_Tb3CrS6
_space_group_name_H-M_alt 'P 1'
_space_group_IT_number 1
_cell_length_a 3.7956
_cell_length_b 13.3240
_cell_length_c 16.0302
_cell_angle_alpha 90.00
_cell_angle_beta 90.00
_cell_angle_gamma 90.00
loop_
_space_group_symop_operation_xyz
'x,y,z'
loop_
_atom_site_label
_atom_site_type_symbol
_atom_site_fract_x
_atom_site_fract_y
_atom_site_fract_z
S1 S 0.0000 0.8206 0.4786
Cr1 Cr 0.5000 0.5000 0.0000
Tb1 Tb 0.5000 0.1802 0.6484
S2 S 0.0000 0.1210 0.1067
Tb2 Tb 0.0000 0.2458 0.9028
S3 S 0.0000 0.8129 0.7106
S4 S 0.5000 0.3129 0.7894
S5 S 0.0000 0.4761 0.9033
Tb3 Tb 0.0000 0.3198 0.1484
Tb4 Tb 0.5000 0.0503 0.2191
S6 S 0.0000 0.1794 0.5214
Tb5 Tb 0.5000 0.8198 0.3516
S7 S 0.0000 0.8967 0.2456
Tb6 Tb 0.0000 0.4497 0.7191
Tb7 Tb 0.0000 0.5503 0.2809
S8 S 0.5000 0.3790 0.6067
S9 S 0.5000 0.3967 0.2544
Cr2 Cr 0.0000 0.0000 0.5000
S10 S 0.5000 0.0239 0.4033
Tb8 Tb 0.0000 0.7542 0.0972
S11 S 0.5000 0.3206 0.0214
Tb9 Tb 0.5000 0.9497 0.7809
Tb10 Tb 0.5000 0.7458 0.5972
Tb11 Tb 0.5000 0.2542 0.4028
S12 S 0.0000 0.8790 0.8933
S13 S 0.5000 0.6871 0.2106
S14 S 0.0000 0.5826 0.5744
S15 S 0.5000 0.6033 0.7456
S16 S 0.5000 0.9761 0.5967
S17 S 0.0000 0.1033 0.7544
S18 S 0.5000 0.0826 0.9256
S19 S 0.0000 0.5239 0.0967
S20 S 0.0000 0.4174 0.4256
S21 S 0.0000 0.1871 0.2894
Cr3 Cr 0.5000 0.5000 0.5000
S22 S 0.5000 0.6210 0.3933
Tb12 Tb 0.0000 0.6802 0.8516
Cr4 Cr 0.0000 0.0000 0.0000
S23 S 0.5000 0.9174 0.0744
S24 S 0.5000 0.6794 0.9786

=====

Copy entry 4 word for word.
# TaCr3S8 (GGA-PBE, optimized geometry)
# Total energy, eV for the cell shown: -81.91
# Calculated volume, A^3/atom: 18.904
# Energy of formation from the pure elements, kJ per mole of atoms: -96.7
# Symmetry: C2/m, No. 12
# Crystal system: monoclinic
# MP2020-corrected energy, eV per atom: -7.16
data_TaCr3S8
_space_group_name_H-M_alt 'P 1'
_space_group_IT_number 1
_cell_length_a 6.7728
_cell_length_b 6.9239
_cell_length_c 6.9030
_cell_angle_alpha 60.05
_cell_angle_beta 59.35
_cell_angle_gamma 59.43
loop_
_space_group_symop_operation_xyz
'x,y,z'
loop_
_atom_site_label
_atom_site_type_symbol
_atom_site_fract_x
_atom_site_fract_y
_atom_site_fract_z
Ta1 Ta 0.9999 0.4999 0.5003
S1 S 0.7330 0.2555 0.2559
S2 S 0.7406 0.7530 0.7535
S3 S 0.7405 0.7530 0.2531
Cr1 Cr 0.4999 0.5004 0.4996
S4 S 0.2593 0.7471 0.2467
Cr2 Cr 0.5005 0.9995 0.5001
S5 S 0.2596 0.2470 0.7467
Cr3 Cr 0.4998 0.4999 0.0000
S6 S 0.2595 0.2471 0.2464
S7 S 0.2668 0.7445 0.7443
S8 S 0.7407 0.2530 0.7533

=====

Which value of MP2020-corrected energy does entry 6 give? -6.87 eV per atom

=====

calculated volume of number 2 (Sm4CrS7)? 23.307 A^3/atom